<1>
A relaxed LiV6O7F5 crystal. Source: the Materials Project, functional PBE with a Hubbard U.

```
LiV6O7F5
1.0
-1.425 -3.424 -3.265
-2.885 -3.072 3.799
-6.869 3.532 -1.216
Li V O F
1 6 7 5
direct
0.501 0.786 0.217 Li
0.004 0.008 0.998 V
0.448 0.457 0.980 V
0.561 0.210 0.340 V
0.506 0.819 0.676 V
0.983 0.341 0.675 V
0.997 0.654 0.341 V
0.174 0.285 0.893 O
0.326 0.486 0.238 O
0.310 0.793 0.906 O
0.686 0.190 0.093 O
0.680 0.521 0.761 O
0.676 0.872 0.426 O
0.836 0.372 0.437 O
0.178 0.969 0.241 F
0.189 0.639 0.576 F
0.313 0.142 0.574 F
0.808 0.022 0.762 F
0.822 0.697 0.102 F
```

=====

<2>
A relaxed LiV6O7F5 crystal. Source: the Materials Project, functional PBE with a Hubbard U.

```
LiV6O7F5
1.0
-1.077 4.597 -1.299
-4.442 0.257 3.517
4.037 2.908 6.055
Li V O F
1 6 7 5
direct
0.499 0.895 0.104 Li
0.997 0.005 0.979 V
0.441 0.461 0.996 V
0.559 0.209 0.341 V
0.525 0.846 0.670 V
0.995 0.661 0.340 V
0.989 0.316 0.672 V
0.179 0.296 0.889 O
0.309 0.471 0.240 O
0.319 0.799 0.904 O
0.687 0.189 0.091 O
0.688 0.880 0.427 O
0.806 0.029 0.756 O
0.824 0.384 0.444 O
0.180 0.966 0.225 F
0.196 0.636 0.577 F
0.315 0.144 0.566 F
0.687 0.524 0.772 F
0.809 0.696 0.097 F
```

=====

If we sort the structures by their calculated energies, the order from most to least stable is <1>, <2>.

=====

<1>
A relaxed LiV6O7F5 crystal. Source: the Materials Project, functional PBE with a Hubbard U.

```
LiV6O7F5
1.0
-1.447 1.681 4.276
0.710 -5.160 2.303
7.442 1.232 2.104
Li V O F
1 6 7 5
direct
0.500 0.230 0.765 Li
0.488 0.517 0.011 V
0.525 0.800 0.649 V
0.539 0.171 0.340 V
0.988 0.350 0.674 V
0.973 0.662 0.315 V
0.984 0.004 0.017 V
0.192 0.714 0.095 O
0.315 0.524 0.763 O
0.691 0.469 0.229 O
0.692 0.129 0.577 O
0.793 0.973 0.233 O
0.797 0.298 0.901 O
0.813 0.630 0.554 O
0.198 0.361 0.431 F
0.204 0.028 0.774 F
0.298 0.206 0.110 F
0.301 0.865 0.428 F
0.696 0.806 0.894 F
```

=====

<2>
A relaxed LiV6O7F5 crystal. Source: the Materials Project, functional PBE with a Hubbard U.

```
LiV6O7F5
1.0
-0.208 -5.071 -2.602
5.254 -1.520 -1.703
2.856 -5.468 4.628
Li V O F
1 6 7 5
direct
0.580 0.086 0.420 Li
0.295 0.325 0.146 V
0.668 0.657 0.313 V
0.014 0.999 0.506 V
0.328 0.348 0.690 V
0.678 0.694 0.844 V
0.022 0.972 0.998 V
0.773 0.776 0.034 O
0.946 0.353 0.333 O
0.374 0.978 0.335 O
0.032 0.645 0.671 O
0.636 0.054 0.654 O
0.221 0.219 0.965 O
0.317 0.680 0.997 O
0.416 0.436 0.373 F
0.901 0.889 0.301 F
0.109 0.106 0.701 F
0.570 0.583 0.624 F
0.704 0.292 0.003 F
```

=====

If we sort the structures by their calculated energies, the order from most to least stable is <2>, <1>.

=====

<1>
A relaxed Li2FeP2O8 crystal. Source: the Materials Project, functional PBE with a Hubbard U.

```
Li2FeP2O8
1.0
8.646 0.000 0.000
0.000 4.968 0.000
0.000 0.586 6.752
Li Fe P O
4 2 4 16
direct
0.644 0.741 0.924 Li
0.498 0.242 0.738 Li
0.144 0.259 0.076 Li
0.998 0.758 0.262 Li
0.998 0.755 0.740 Fe
0.498 0.245 0.260 Fe
0.821 0.224 0.976 P
0.678 0.716 0.473 P
0.178 0.284 0.527 P
0.321 0.776 0.024 P
0.856 0.061 0.796 O
0.628 0.572 0.290 O
0.427 0.889 0.854 O
0.145 0.819 0.979 O
0.357 0.300 0.503 O
0.625 0.014 0.450 O
0.125 0.986 0.550 O
0.927 0.111 0.146 O
0.355 0.469 0.066 O
0.645 0.181 0.021 O
0.128 0.428 0.710 O
0.356 0.939 0.204 O
0.857 0.700 0.497 O
0.609 0.580 0.668 O
0.109 0.420 0.332 O
0.855 0.531 0.934 O
```

=====

<2>
A relaxed Li2FeP2O8 crystal. Source: the Materials Project, functional PBE with a Hubbard U.

```
Li2FeP2O8
1.0
-2.364 -2.944 -3.005
-0.852 -3.950 4.316
-8.839 4.539 2.432
Li Fe P O
4 2 4 16
direct
0.000 0.000 0.000 Li
0.531 0.253 0.774 Li
0.500 0.500 0.500 Li
0.469 0.747 0.226 Li
0.016 0.747 0.721 Fe
0.984 0.253 0.279 Fe
0.584 0.751 0.897 P
0.068 0.249 0.594 P
0.932 0.751 0.406 P
0.416 0.249 0.103 P
0.341 0.248 0.957 O
0.268 0.762 0.877 O
0.738 0.955 0.831 O
0.729 0.553 0.820 O
0.189 0.037 0.665 O
0.205 0.456 0.663 O
0.753 0.265 0.596 O
0.814 0.747 0.550 O
0.186 0.253 0.450 O
0.247 0.735 0.404 O
0.811 0.963 0.335 O
0.795 0.544 0.337 O
0.271 0.447 0.180 O
0.262 0.045 0.169 O
0.732 0.238 0.123 O
0.659 0.752 0.043 O
```

=====

If we sort the structures by their calculated energies, the order from most to least stable is <1>, <2>.

=====

<1>
A relaxed Li5Mn3O8 crystal. Source: the Materials Project, functional PBE with a Hubbard U.

```
Li5Mn3O8
1.0
-1.079 5.697 -0.877
1.059 2.424 -5.233
-4.456 1.657 -3.432
Li Mn O
5 3 8
direct
0.000 0.500 0.500 Li
0.500 0.500 0.000 Li
0.000 0.000 0.000 Li
0.500 0.000 0.500 Li
0.500 0.500 0.500 Li
0.500 0.000 0.000 Mn
0.000 0.000 0.500 Mn
0.000 0.500 0.000 Mn
0.778 0.250 0.250 O
0.250 0.250 0.778 O
0.754 0.754 0.754 O
0.250 0.778 0.250 O
0.222 0.750 0.750 O
0.750 0.750 0.222 O
0.246 0.246 0.246 O
0.750 0.222 0.750 O
```

=====

<2>
A relaxed Li5Mn3O8 crystal. Source: the Materials Project, functional PBE with a Hubbard U.

```
Li5Mn3O8
1.0
2.979 0.000 0.000
-1.489 2.570 0.222
0.000 0.029 19.608
Li Mn O
5 3 8
direct
0.880 0.761 0.359 Li
0.125 0.250 0.626 Li
0.375 0.750 0.874 Li
0.620 0.239 0.141 Li
0.250 0.500 0.250 Li
0.000 0.000 0.000 Mn
0.500 0.000 0.500 Mn
0.750 0.500 0.750 Mn
0.814 0.628 0.557 O
0.064 0.128 0.808 O
0.316 0.633 0.051 O
0.562 0.124 0.313 O
0.938 0.876 0.187 O
0.184 0.367 0.449 O
0.436 0.872 0.692 O
0.686 0.372 0.943 O
```

=====

If we sort the structures by their calculated energies, the order from most to least stable is <1>, <2>.

=====

<1>
A relaxed Li5Mn3O8 crystal. Source: the Materials Project, functional PBE with a Hubbard U.

```
Li5Mn3O8
1.0
-4.578 1.742 1.536
-2.548 -4.579 -2.403
-2.479 -4.083 3.494
Li Mn O
5 3 8
direct
0.499 0.246 0.009 Li
0.500 0.238 0.500 Li
0.500 0.762 0.500 Li
0.501 0.754 0.991 Li
0.000 0.000 0.500 Li
0.000 0.000 0.000 Mn
0.000 0.500 0.500 Mn
0.000 0.500 0.000 Mn
0.238 0.358 0.784 O
0.215 0.391 0.242 O
0.215 0.868 0.241 O
0.229 0.863 0.774 O
0.771 0.137 0.226 O
0.785 0.132 0.758 O
0.785 0.609 0.759 O
0.762 0.642 0.216 O
```

=====

<2>
A relaxed Li5Mn3O8 crystal. Source: the Materials Project, functional PBE with a Hubbard U.

```
Li5Mn3O8
1.0
-1.334 2.236 1.302
-3.279 -3.213 2.214
4.686 -1.779 8.456
Li Mn O
5 3 8
direct
0.000 0.000 0.000 Li
0.499 0.747 0.242 Li
0.000 0.500 0.500 Li
0.501 0.253 0.758 Li
0.500 0.500 0.000 Li
0.005 0.732 0.760 Mn
0.995 0.268 0.240 Mn
0.500 0.000 0.500 Mn
0.495 0.860 0.860 O
0.005 0.600 0.136 O
0.483 0.362 0.362 O
0.031 0.101 0.621 O
0.505 0.140 0.140 O
0.969 0.899 0.379 O
0.517 0.638 0.638 O
0.995 0.400 0.864 O
```

=====

<3>
A relaxed Li5Mn3O8 crystal. Source: the Materials Project, functional PBE with a Hubbard U.

```
Li5Mn3O8
1.0
2.865 0.114 0.670
-1.369 15.526 -0.587
-0.064 -0.014 6.454
Li Mn O
10 6 16
direct
0.625 0.125 0.750 Li
0.125 0.625 0.750 Li
0.948 0.189 0.108 Li
0.448 0.689 0.108 Li
0.302 0.061 0.392 Li
0.802 0.561 0.392 Li
0.135 0.449 0.634 Li
0.635 0.949 0.634 Li
0.615 0.301 0.866 Li
0.115 0.801 0.866 Li
0.875 0.375 0.250 Mn
0.480 0.505 0.994 Mn
0.270 0.245 0.506 Mn
0.375 0.875 0.250 Mn
0.980 0.005 0.995 Mn
0.770 0.745 0.505 Mn
0.468 0.083 0.061 O
0.968 0.583 0.060 O
0.782 0.167 0.440 O
0.282 0.667 0.439 O
0.773 0.331 0.544 O
0.273 0.830 0.544 O
0.977 0.419 0.956 O
0.477 0.919 0.956 O
0.127 0.222 0.789 O
0.627 0.722 0.789 O
0.123 0.028 0.711 O
0.623 0.528 0.711 O
0.308 0.466 0.302 O
0.808 0.966 0.302 O
0.442 0.284 0.198 O
0.942 0.784 0.198 O
```

=====

If we sort the structures by their calculated energies, the order from most to least stable is <1>, <3>, <2>.

=====

<1>
A relaxed Li5Mn3O8 crystal. Source: the Materials Project, functional PBE with a Hubbard U.

```
Li5Mn3O8
1.0
0.000 -0.001 5.900
8.534 4.800 -2.950
-1.609 4.760 2.950
Li Mn O
10 6 16
direct
0.496 0.250 0.750 Li
0.504 0.750 0.250 Li
0.000 0.000 0.500 Li
0.000 0.500 0.000 Li
0.472 0.242 0.255 Li
0.528 0.758 0.745 Li
0.990 0.250 0.750 Li
0.010 0.750 0.250 Li
0.985 0.258 0.245 Li
0.015 0.742 0.755 Li
0.500 0.500 0.000 Mn
0.500 0.000 0.000 Mn
0.500 0.500 0.500 Mn
0.000 0.000 0.000 Mn
0.000 0.500 0.500 Mn
0.500 0.000 0.500 Mn
0.712 0.119 0.141 O
0.767 0.619 0.641 O
0.233 0.381 0.359 O
0.289 0.881 0.859 O
0.722 0.111 0.636 O
0.722 0.610 0.133 O
0.252 0.108 0.110 O
0.245 0.608 0.610 O
0.255 0.110 0.633 O
0.254 0.611 0.136 O
0.278 0.390 0.867 O
0.279 0.889 0.364 O
0.755 0.392 0.390 O
0.748 0.892 0.890 O
0.746 0.389 0.864 O
0.745 0.890 0.367 O
```

=====

<2>
A relaxed Li5Mn3O8 crystal. Source: the Materials Project, functional PBE with a Hubbard U.

```
Li5Mn3O8
1.0
-5.735 -0.383 -0.059
-2.957 -0.242 8.571
-0.385 5.812 0.022
Li Mn O
10 6 16
direct
0.125 0.250 0.250 Li
0.625 0.250 0.250 Li
0.875 0.750 0.750 Li
0.375 0.750 0.750 Li
0.125 0.250 0.750 Li
0.625 0.250 0.750 Li
0.483 0.041 0.506 Li
0.984 0.040 0.507 Li
0.766 0.460 0.993 Li
0.267 0.459 0.993 Li
0.875 0.750 0.250 Mn
0.375 0.750 0.250 Mn
0.489 0.017 0.999 Mn
0.989 0.018 0.999 Mn
0.761 0.482 0.501 Mn
0.261 0.483 0.501 Mn
0.745 0.007 0.230 O
0.245 0.007 0.230 O
0.005 0.493 0.270 O
0.505 0.493 0.270 O
0.885 0.228 0.998 O
0.384 0.228 0.998 O
0.366 0.272 0.502 O
0.865 0.272 0.502 O
0.637 0.728 0.479 O
0.137 0.728 0.479 O
0.113 0.772 0.021 O
0.613 0.772 0.021 O
0.002 0.500 0.725 O
0.502 0.500 0.725 O
0.748 0.000 0.775 O
0.248 0.000 0.775 O
```

=====

If we sort the structures by their calculated energies, the order from most to least stable is <1>, <2>.